Entry 1:
# Ho2MgCuO4

A relaxed Ho2MgCuO4 crystal (PBE, Materials Project).

Output
uncorrected energy = -6.356 eV per atom

Unit cell a=8.7804 b=8.7804 c=8.7804 alpha=153.35 beta=153.35 gamma=38.04
With the nearest neighbours (Å) after each atom.
Fractional positions:
Ho 0.3067 0.3067 0.0000  4 O 2.23
Ho 0.6933 0.6933 0.0000  4 O 2.23
Mg 0.5000 0.5000 0.0000  4 O 2.02
Cu 0.0000 0.0000 0.0000  4 O 2.02
O 0.5000 0.0000 0.5000  2 Mg 2.02, 2 Cu 2.02
O 0.7500 0.2500 0.5000  4 Ho 2.23
O 0.0000 0.5000 0.5000  2 Cu 2.02, 2 Mg 2.02
O 0.2500 0.7500 0.5000  4 Ho 2.23



Entry 2:
# NaTmPd6O8

A relaxed NaTmPd6O8 crystal (PBE, Materials Project).

Output
uncorrected energy = -5.884 eV per atom

Unit cell a=5.8150 b=5.8150 c=5.8150 alpha=90.00 beta=90.00 gamma=90.00
With the nearest neighbours (Å) after each atom.
Fractional positions:
Na 0.5000 0.5000 0.5000  8 O 2.63
Tm 0.0000 0.0000 0.0000  8 O 2.40
Pd 0.2506 0.0000 0.5000  4 O 2.06
Pd 0.7494 0.0000 0.5000  4 O 2.06
Pd 0.5000 0.2506 0.0000  4 O 2.06
Pd 0.5000 0.7494 0.0000  4 O 2.06
Pd 0.0000 0.5000 0.2506  4 O 2.06
Pd 0.0000 0.5000 0.7494  4 O 2.06
O 0.2388 0.2388 0.2388  3 Pd 2.06
O 0.7612 0.7612 0.7612  3 Pd 2.06
O 0.7612 0.7612 0.2388  3 Pd 2.06
O 0.7612 0.2388 0.7612  3 Pd 2.06
O 0.2388 0.2388 0.7612  3 Pd 2.06
O 0.2388 0.7612 0.2388  3 Pd 2.06
O 0.2388 0.7612 0.7612  3 Pd 2.06
O 0.7612 0.2388 0.2388  3 Pd 2.06



Entry 3:
# Nb6Zn7

A relaxed Nb6Zn7 crystal (PBE, Materials Project).

Output
uncorrected energy = -5.478 eV per atom

Unit cell a=5.0984 b=5.0984 c=9.6326 alpha=74.65 beta=74.65 gamma=60.00
With the nearest neighbours (Å) after each atom.
Fractional positions:
Nb 0.8355 0.8355 0.4935  6 Zn 2.86-2.94, 6 Nb 2.95-3.17
Nb 0.1645 0.1645 0.5065  6 Zn 2.86-2.94, 6 Nb 2.95-3.17
Nb 0.6500 0.6500 0.0500  4 Nb 2.89-3.08, 12 Zn 2.93-3.02
Nb 0.3500 0.3500 0.9500  4 Nb 2.89-3.08, 12 Zn 2.93-3.02
Nb 0.5449 0.5449 0.3654  1 Nb 2.47
Nb 0.4551 0.4551 0.6346  1 Nb 2.47
Zn 0.0000 0.0000 0.0000  6 Zn 2.57
Zn 0.9066 0.9066 0.7726  5 Zn 2.51-2.59
Zn 0.4142 0.9066 0.7726  5 Zn 2.51-2.59
Zn 0.9066 0.4142 0.7726  5 Zn 2.51-2.59
Zn 0.0934 0.0934 0.2274  5 Zn 2.51-2.59
Zn 0.5858 0.0934 0.2274  5 Zn 2.51-2.59
Zn 0.0934 0.5858 0.2274  5 Zn 2.51-2.59



Entry 4:
# SrGaSnH

A relaxed SrGaSnH crystal (PBE, Materials Project).

Output
uncorrected energy = -3.476 eV per atom
largest piezoelectric modulus = 0.54 C/m²

Unit cell a=4.4874 b=4.4874 c=5.1655 alpha=90.00 beta=90.00 gamma=120.00
With the nearest neighbours (Å) after each atom.
Fractional positions:
Sr 0.6667 0.3333 0.9985  3 H 2.61
Ga 0.3333 0.6667 0.6009  1 H 1.75
Sn 0.0000 0.0000 0.4506  3 Ga 2.70
H 0.3333 0.6667 0.9394  1 Ga 1.75



Entry 5:
# BaAl3P2O14

A relaxed BaAl3P2O14 crystal (PBE, Materials Project).

Output
uncorrected energy = -6.556 eV per atom

Unit cell a=7.3488 b=7.3488 c=7.3488 alpha=57.38 beta=57.38 gamma=57.38
With the nearest neighbours (Å) after each atom.
Fractional positions:
Ba 0.0000 0.0000 0.0000  12 O 2.86-2.92
Al 0.0000 0.5000 0.0000  6 O 1.86-1.99
Al 0.0000 0.0000 0.5000  6 O 1.86-1.99
Al 0.5000 0.0000 0.0000  6 O 1.86-1.99
P 0.3003 0.3003 0.3003  4 O 1.53-1.56
P 0.6997 0.6997 0.6997  4 O 1.53-1.56
O 0.6165 0.6165 0.6165  1 P 1.53
O 0.1509 0.5096 0.1509  1 P 1.56
O 0.7479 0.0808 0.7479  2 Al 1.86
O 0.3835 0.3835 0.3835  1 P 1.53
O 0.8491 0.4904 0.8491  1 P 1.56
O 0.9192 0.2521 0.2521  2 Al 1.86
O 0.2521 0.2521 0.9192  2 Al 1.86
O 0.7479 0.7479 0.0808  2 Al 1.86
O 0.0808 0.7479 0.7479  2 Al 1.86
O 0.2521 0.9192 0.2521  2 Al 1.86
O 0.1509 0.1509 0.5096  1 P 1.56
O 0.5096 0.1509 0.1509  1 P 1.56
O 0.8491 0.8491 0.4904  1 P 1.56
O 0.4904 0.8491 0.8491  1 P 1.56



Entry 6:
# BiP4O12

A relaxed BiP4O12 crystal (PBE, Materials Project).

Output
uncorrected energy = -6.865 eV per atom
excess energy over the best structure of this formula in the dataset = 29 meV/atom

Unit cell a=8.3068 b=10.0700 c=13.5211 alpha=90.00 beta=90.00 gamma=90.00
With the nearest neighbours (Å) after each atom.
Fractional positions:
Bi 0.1359 0.2500 0.5000  6 O 2.24-2.38
Bi 0.3641 0.7500 0.0000  6 O 2.24-2.38
Bi 0.8641 0.7500 0.5000  6 O 2.24-2.38
Bi 0.6359 0.2500 0.0000  6 O 2.24-2.38
P 0.4650 0.0080 0.1608  4 O 1.52-1.59
P 0.1694 0.5024 0.1368  4 O 1.48-1.63
P 0.6694 0.5024 0.3632  4 O 1.48-1.63
P 0.1694 0.9976 0.8632  4 O 1.48-1.63
P 0.3306 0.0024 0.3632  4 O 1.48-1.63
P 0.8306 0.4976 0.8632  4 O 1.48-1.63
P 0.9650 0.4920 0.6608  4 O 1.52-1.59
P 0.8306 0.0024 0.1368  4 O 1.48-1.63
P 0.0350 0.9920 0.6608  4 O 1.52-1.59
P 0.9650 0.0080 0.3392  4 O 1.52-1.59
P 0.0350 0.5080 0.3392  4 O 1.52-1.59
P 0.5350 0.9920 0.8392  4 O 1.52-1.59
P 0.3306 0.4976 0.6368  4 O 1.48-1.63
P 0.4650 0.4920 0.8392  4 O 1.52-1.59
P 0.5350 0.5080 0.1608  4 O 1.52-1.59
P 0.6694 0.9976 0.6368  4 O 1.48-1.63
O 0.1506 0.5244 0.6776  2 P 1.59-1.62
O 0.1236 0.1216 0.6430  1 P 1.52
O 0.9437 0.3859 0.5822  1 P 1.52
O 0.5913 0.3769 0.3942  1 P 1.48
O 0.5913 0.1231 0.6058  1 P 1.48
O 0.4117 0.4323 0.7353  2 P 1.59-1.63
O 0.8494 0.4756 0.3224  2 P 1.59-1.62
O 0.9117 0.0677 0.2353  2 P 1.59-1.63
O 0.5883 0.5677 0.2647  2 P 1.59-1.63
O 0.1735 0.6165 0.0626  1 P 1.53
O 0.6735 0.6165 0.4374  1 P 1.53
O 0.3265 0.3835 0.5626  1 P 1.53
O 0.4087 0.8769 0.3942  1 P 1.48
O 0.8265 0.1165 0.0626  1 P 1.53
O 0.6236 0.3784 0.1430  1 P 1.52
O 0.1236 0.3784 0.3570  1 P 1.52
O 0.3764 0.6216 0.8570  1 P 1.52
O 0.9117 0.4323 0.7647  2 P 1.59-1.63
O 0.6506 0.5244 0.8224  2 P 1.59-1.62
O 0.4117 0.0677 0.2647  2 P 1.59-1.63
O 0.9087 0.8769 0.1058  1 P 1.48
O 0.8494 0.0244 0.6776  2 P 1.59-1.62
O 0.4437 0.3859 0.9178  1 P 1.52
O 0.0563 0.8859 0.5822  1 P 1.52
O 0.1506 0.9756 0.3224  2 P 1.59-1.62
O 0.8764 0.6216 0.6430  1 P 1.52
O 0.5563 0.8859 0.9178  1 P 1.52
O 0.8764 0.8784 0.3570  1 P 1.52
O 0.0563 0.6141 0.4178  1 P 1.52
O 0.5563 0.6141 0.0822  1 P 1.52
O 0.5883 0.9323 0.7353  2 P 1.59-1.63
O 0.1735 0.8835 0.9374  1 P 1.53
O 0.8265 0.3835 0.9374  1 P 1.53
O 0.3494 0.0244 0.8224  2 P 1.59-1.62
O 0.6236 0.1216 0.8570  1 P 1.52
O 0.0883 0.5677 0.2353  2 P 1.59-1.63
O 0.9087 0.6231 0.8942  1 P 1.48
O 0.0913 0.3769 0.1058  1 P 1.48
O 0.3494 0.4756 0.1776  2 P 1.59-1.62
O 0.6506 0.9756 0.1776  2 P 1.59-1.62
O 0.3265 0.1165 0.4374  1 P 1.53
O 0.9437 0.1141 0.4178  1 P 1.52
O 0.0913 0.1231 0.8942  1 P 1.48
O 0.3764 0.8784 0.1430  1 P 1.52
O 0.4437 0.1141 0.0822  1 P 1.52
O 0.6735 0.8835 0.5626  1 P 1.53
O 0.4087 0.6231 0.6058  1 P 1.48
O 0.0883 0.9323 0.7647  2 P 1.59-1.63



Repeat the third record exactly.
# Nb6Zn7

A relaxed Nb6Zn7 crystal (PBE, Materials Project).

Output
uncorrected energy = -5.478 eV per atom

Unit cell a=5.0984 b=5.0984 c=9.6326 alpha=74.65 beta=74.65 gamma=60.00
With the nearest neighbours (Å) after each atom.
Fractional positions:
Nb 0.8355 0.8355 0.4935  6 Zn 2.86-2.94, 6 Nb 2.95-3.17
Nb 0.1645 0.1645 0.5065  6 Zn 2.86-2.94, 6 Nb 2.95-3.17
Nb 0.6500 0.6500 0.0500  4 Nb 2.89-3.08, 12 Zn 2.93-3.02
Nb 0.3500 0.3500 0.9500  4 Nb 2.89-3.08, 12 Zn 2.93-3.02
Nb 0.5449 0.5449 0.3654  1 Nb 2.47
Nb 0.4551 0.4551 0.6346  1 Nb 2.47
Zn 0.0000 0.0000 0.0000  6 Zn 2.57
Zn 0.9066 0.9066 0.7726  5 Zn 2.51-2.59
Zn 0.4142 0.9066 0.7726  5 Zn 2.51-2.59
Zn 0.9066 0.4142 0.7726  5 Zn 2.51-2.59
Zn 0.0934 0.0934 0.2274  5 Zn 2.51-2.59
Zn 0.5858 0.0934 0.2274  5 Zn 2.51-2.59
Zn 0.0934 0.5858 0.2274  5 Zn 2.51-2.59



Q: What is the uncorrected energy in the third record?
A: -5.478 eV per atom